Mn3Cd2O8 | r²SCAN | relaxed

Calculated values
V, Å³/atom: 11.27
SG: C2/m
Uncorrected energy, eV per atom: -12.0284
Total magnetic moment, Bohr magnetons per cell: 9.00

Cell: 6.140 6.140 4.936 Å, 106.72 106.72 56.45°
Fractional coordinates of all 13 atoms:
Mn1 0.000 0.000 0.000
Mn2 0.259 0.741 0.500
Mn3 0.741 0.259 0.500
Cd1 0.278 0.278 0.838
Cd2 0.722 0.722 0.162
O1 0.097 0.097 0.401
O2 0.121 0.675 0.111
O3 0.325 0.879 0.889
O4 0.397 0.397 0.548
O5 0.603 0.603 0.452
O6 0.675 0.121 0.111
O7 0.879 0.325 0.889
O8 0.903 0.903 0.599

***

KV3O8 | r²SCAN | relaxed

Calculated values
V, Å³/atom: 13.28
SG: P2_1/m
Uncorrected energy, eV per atom: -10.4908
Total magnetic moment, Bohr magnetons per cell: 0.00

Cell: 4.998 8.393 7.672 Å, 90.00 98.14 90.00°
Fractional coordinates of all 24 atoms:
K1 0.040 0.250 0.437
K2 0.960 0.750 0.563
V1 0.072 0.250 0.924
V2 0.447 0.554 0.189
V3 0.447 0.946 0.189
V4 0.553 0.054 0.811
V5 0.553 0.446 0.811
V6 0.928 0.750 0.076
O1 0.118 0.750 0.923
O2 0.121 0.600 0.236
O3 0.121 0.900 0.236
O4 0.317 0.087 0.994
O5 0.317 0.413 0.994
O6 0.406 0.250 0.738
O7 0.418 0.567 0.661
O8 0.418 0.933 0.661
O9 0.582 0.067 0.339
O10 0.582 0.433 0.339
O11 0.594 0.750 0.262
O12 0.683 0.587 0.006
O13 0.683 0.913 0.006
O14 0.879 0.100 0.764
O15 0.879 0.400 0.764
O16 0.882 0.250 0.077

***

DyAgSn | r²SCAN | relaxed

Calculated values
V, Å³/atom: 23.58
SG: P6_3mc
Uncorrected energy, eV per atom: -26.6940
Total magnetic moment, Bohr magnetons per cell: 0.00

Cell: 4.695 4.695 7.411 Å, 90.00 90.00 120.00°
Fractional coordinates of all 6 atoms:
Dy1 0.000 0.000 0.000
Dy2 0.000 0.000 0.500
Ag1 0.333 0.667 0.316
Ag2 0.667 0.333 0.816
Sn1 0.333 0.667 0.720
Sn2 0.667 0.333 0.220

***

Ga2AsRh5 | r²SCAN | relaxed

Calculated values
V, Å³/atom: 13.99
SG: Pbam
Uncorrected energy, eV per atom: -20.3324
Total magnetic moment, Bohr magnetons per cell: 0.00

Cell: 5.462 10.196 4.020 Å, 90.00 90.00 90.00°
Fractional coordinates of all 16 atoms:
Ga1 0.113 0.150 0.000
Ga2 0.387 0.650 0.000
Ga3 0.613 0.350 0.000
Ga4 0.887 0.850 0.000
As1 0.000 0.500 0.500
As2 0.500 0.000 0.500
Rh1 0.000 0.000 0.500
Rh2 0.137 0.724 0.500
Rh3 0.167 0.397 0.000
Rh4 0.333 0.897 0.000
Rh5 0.363 0.224 0.500
Rh6 0.500 0.500 0.500
Rh7 0.637 0.776 0.500
Rh8 0.667 0.103 0.000
Rh9 0.833 0.603 0.000
Rh10 0.863 0.276 0.500

***

Ca3Ga4Ni4 | r²SCAN | relaxed

Calculated values
V, Å³/atom: 17.88
SG: I-43m
Uncorrected energy, eV per atom: -10.9426
Total magnetic moment, Bohr magnetons per cell: 0.00

Cell: 6.346 6.346 6.346 Å, 109.47 109.47 109.47°
Fractional coordinates of all 11 atoms:
Ca1 0.000 0.500 0.500
Ca2 0.500 0.000 0.500
Ca3 0.500 0.500 0.000
Ga1 0.000 0.000 0.610
Ga2 0.000 0.610 0.000
Ga3 0.390 0.390 0.390
Ga4 0.610 0.000 0.000
Ni1 0.000 0.000 0.245
Ni2 0.000 0.245 0.000
Ni3 0.245 0.000 0.000
Ni4 0.755 0.755 0.755

***

CeCd3 | r²SCAN | relaxed

Calculated values
V, Å³/atom: 24.35
SG: Fm-3m
Uncorrected energy, eV per atom: -23.1111
Total magnetic moment, Bohr magnetons per cell: 1.04

Cell: 5.165 5.165 5.165 Å, 60.00 60.00 60.00°
Fractional coordinates of all 4 atoms:
Ce1 0.000 0.000 0.000
Cd1 0.250 0.250 0.250
Cd2 0.500 0.500 0.500
Cd3 0.750 0.750 0.750

***

Number 1: calculated formation energy -1.87 eV per atom. Number 2: calculated formation energy -2.49 eV per atom. Number 3: calculated formation energy -0.67 eV per atom. Number 4: calculated formation energy -0.55 eV per atom. Number 5: calculated formation energy -0.51 eV per atom. Number 6: calculated formation energy -0.32 eV per atom.